Li8MnCr3O12: optimized geometry, PBE with a Hubbard U.

Summary:
As for the density: 3.66 g/cm3. The formation energy from the elements comes out at -2.14 eV per atom. As for the symmetry: P1.

```
24
Lattice="-4.375 -1.408 1.914 -0.399 4.377 2.307 -4.001 3.200 -6.666" Properties=species:S:1:pos:R:3 pbc="T T T"
O -4.038 3.155 1.329
O -6.932 5.434 -3.020
O -2.613 1.338 -0.358
O -5.506 4.024 -0.833
O -3.809 2.579 -2.475
O -6.816 2.270 -2.726
O -5.191 3.413 -5.004
O -5.415 1.425 -0.567
O -2.704 4.233 -0.821
O -3.990 0.001 1.651
O -1.309 3.389 1.666
O -3.906 5.464 -2.950
Li -4.249 5.025 0.449
Li -2.267 1.822 -3.772
Li -3.882 5.131 -4.983
Li -5.408 3.901 -2.916
Li -5.520 6.010 -1.607
Li -1.142 2.910 -0.379
Li -1.426 5.188 0.614
Li -2.635 1.688 1.678
Cr -2.555 4.081 -2.729
Cr -2.515 -0.428 0.398
Cr -4.054 2.772 -0.577
Mn -8.396 5.867 -1.823
```